Entry 1:
Here is BaHoMgCo2O6 after structural relaxation from the Materials Project database. Energies are from GGA+U.

Computed properties:
Final energy ... -5.938 eV/atom
Energy of formation ... -1.883 eV per atom
Distance to the lowest polymorph of the same formula ... 0.330 eV per atom
Space group ... Pmmm (47)
Theoretical density ... 5.593 g cm⁻³
Total moment ... 5.5 μB/f.u.

a b c (Å): 3.703 5.531 7.832
angles (deg): 90.00 90.00 90.00
Sites, in units of the cell vectors:
Ba 0.000 0.000 0.000
Ho 0.000 0.000 0.500
Mg 0.000 0.500 0.500
Co 0.500 0.500 0.234
Co 0.500 0.500 0.766
O 0.000 0.500 0.258
O 0.000 0.500 0.742
O 0.500 0.000 0.313
O 0.500 0.000 0.687
O 0.500 0.500 0.000
O 0.500 0.500 0.500


Entry 2:
Here is BaHoMgCo2O6 after structural relaxation from the Materials Project database. Energies are from GGA+U.

Computed properties:
Final energy ... -6.225 eV/atom
Energy of formation ... -2.169 eV per atom
Distance to the lowest polymorph of the same formula ... 0.044 eV per atom
Space group ... Pmm2 (25)
Theoretical density ... 5.540 g cm⁻³
Total moment ... 6.0 μB/f.u.

a b c (Å): 3.307 4.133 11.851
angles (deg): 90.00 90.00 90.00
Sites, in units of the cell vectors:
Ba 0.000 0.000 0.000
Ho 0.000 0.000 0.643
Mg 0.000 0.500 0.236
Co 0.500 0.500 0.473
Co 0.500 0.500 0.807
O 0.000 0.500 0.396
O 0.000 0.500 0.891
O 0.500 0.000 0.514
O 0.500 0.000 0.795
O 0.500 0.500 0.147
O 0.500 0.500 0.647


Entry 3:
Here is Ba2Ho2Co4O11 after structural relaxation from the Materials Project database. Energies are from GGA+U.

Computed properties:
Final energy ... -6.602 eV/atom
Energy of formation ... -2.299 eV per atom
Distance to the lowest polymorph of the same formula ... 0.000 eV per atom
Space group ... Pmma (51)
Theoretical density ... 7.208 g cm⁻³
Total moment ... 9.0 μB/f.u.

a b c (Å): 7.800 7.899 7.600
angles (deg): 90.00 90.00 90.00
Sites, in units of the cell vectors:
Ba 0.000 0.242 0.000
Ba 0.000 0.758 0.000
Ba 0.500 0.242 0.000
Ba 0.500 0.758 0.000
Ho 0.000 0.269 0.500
Ho 0.000 0.731 0.500
Ho 0.500 0.269 0.500
Ho 0.500 0.731 0.500
Co 0.250 0.000 0.263
Co 0.250 0.000 0.728
Co 0.250 0.500 0.254
Co 0.250 0.500 0.747
Co 0.750 0.000 0.272
Co 0.750 0.000 0.737
Co 0.750 0.500 0.253
Co 0.750 0.500 0.746
O 0.003 0.500 0.279
O 0.006 0.000 0.683
O 0.250 0.000 0.010
O 0.250 0.229 0.310
O 0.250 0.237 0.698
O 0.250 0.500 0.506
O 0.250 0.500 0.991
O 0.250 0.763 0.698
O 0.250 0.771 0.310
O 0.494 0.000 0.683
O 0.497 0.500 0.279
O 0.503 0.500 0.721
O 0.506 0.000 0.317
O 0.750 0.000 0.990
O 0.750 0.229 0.690
O 0.750 0.237 0.302
O 0.750 0.500 0.009
O 0.750 0.500 0.494
O 0.750 0.763 0.302
O 0.750 0.771 0.690
O 0.994 0.000 0.317
O 0.997 0.500 0.721